## LiMo8O10 (PBE+U)

Data for a relaxed LiMo8O10 crystal.

a b c (Å): 6.354 6.354 25.564
angles (deg): 90.00 90.00 90.00
Space group I4_1md (No. 109)
Asymmetric unit:
Li 0.000 0.000 0.000 [4 per cell]
Mo 0.000 0.243 0.706 [8 per cell]
Mo 0.000 0.254 0.874 [8 per cell]
Mo 0.000 0.256 0.545 [8 per cell]
Mo 0.000 0.265 0.378 [8 per cell]
O 0.000 0.222 0.462 [8 per cell]
O 0.000 0.226 0.297 [8 per cell]
O 0.000 0.260 0.126 [8 per cell]
O 0.000 0.270 0.956 [8 per cell]
O 0.000 0.272 0.789 [8 per cell]

## Properties
Formation enthalpy at 0 K, meV/atom: -1183.9
E (MP2020), eV per atom: -8.455